[1]
Pr: optimized geometry, r²SCAN.

Cell lengths 4.1947, 4.1947, 4.1947 Å; angles 90.00, 90.00, 90.00 degrees
Space group Im-3m (No. 229)
Asymmetric unit:
Pr1 0.0000 0.0000 0.0000 x2

- ΔE_f (eV per atom) = 0.13
- polymorph energy (0 for the lowest one) (eV/atom) = 0.126
- magnetic moment (μB per cell) = 1.3

[2]
Pr: optimized geometry, r²SCAN.

Cell lengths 3.7598, 3.7598, 26.9902 Å; angles 90.00, 90.00, 120.00 degrees
Space group R-3m (No. 166, hexagonal axes)
Asymmetric unit:
Pr1 0.0000 0.0000 0.0000 x3
Pr2 0.0000 0.0000 0.2228 x6

- ΔE_f (eV per atom) = 0.02
- polymorph energy (0 for the lowest one) (eV/atom) = 0.023
- magnetic moment (μB per cell) = 0.0

[3]
Pr: optimized geometry, r²SCAN.

Cell lengths 3.7256, 3.7256, 9.1495 Å; angles 90.00, 90.00, 120.00 degrees
Space group P3_221 (No. 154)
Asymmetric unit:
Pr1 0.0000 0.3206 0.3333 x3

- ΔE_f (eV per atom) = 0.04
- polymorph energy (0 for the lowest one) (eV/atom) = 0.035
- magnetic moment (μB per cell) = 0.0

[4]
Pr: optimized geometry, r²SCAN.

Cell lengths 4.3889, 4.3889, 3.7719 Å; angles 90.00, 90.00, 90.00 degrees
Space group I4/mmm (No. 139)
Asymmetric unit:
Pr1 0.0000 0.0000 0.0000 x2

- ΔE_f (eV per atom) = 0.11
- polymorph energy (0 for the lowest one) (eV/atom) = 0.112
- magnetic moment (μB per cell) = 0.0

[5]
Pr: optimized geometry, r²SCAN.

Cell lengths 3.7483, 3.7483, 12.0142 Å; angles 90.00, 90.00, 120.00 degrees
Space group P6_3/mmc (No. 194)
Asymmetric unit:
Pr1 0.0000 0.0000 0.0000 x2
Pr2 0.3333 0.6667 0.2500 x2

- ΔE_f (eV per atom) = 0.01
- polymorph energy (0 for the lowest one) (eV/atom) = 0.015
- magnetic moment (μB per cell) = 0.0

[6]
PrPt2: optimized geometry, r²SCAN.

Cell lengths 7.7908, 7.7908, 7.7908 Å; angles 90.00, 90.00, 90.00 degrees
Space group Fd-3m (No. 227, origin choice 2)
Asymmetric unit:
Pr1 0.1250 0.1250 0.1250 x8
Pt1 0.0000 0.0000 0.5000 x16

- ΔE_f (eV per atom) = -1.13
- magnetic moment (μB per cell) = 0.0